1.
First-principles (r²SCAN) data for a geometry-optimized GdMgRh2 structure, as listed in Materials Project.

a = 6.565 Å, b = 6.565 Å, c = 6.565 Å
α = 90.00°, β = 90.00°, γ = 90.00°
Space group Fm-3m (No. 225)
Unique sites:
Gd: 0.000 0.000 0.000 x4
Mg: 0.000 0.000 0.500 x4
Rh: 0.250 0.250 0.250 x8

Results
- total magnetization (μB per formula unit) = 7.2
- formation enthalpy at 0 K (kcal/mol of atoms) = -15.05

=====

2.
First-principles (r²SCAN) data for a geometry-optimized Gd2MgRu structure, as listed in Materials Project.

a = 7.156 Å, b = 7.156 Å, c = 7.156 Å
α = 90.00°, β = 90.00°, γ = 90.00°
Space group Fm-3m (No. 225)
Unique sites:
Gd: 0.250 0.250 0.250 x8
Mg: 0.000 0.000 0.000 x4
Ru: 0.000 0.000 0.500 x4

Results
- total magnetization (μB per formula unit) = 14.6
- formation enthalpy at 0 K (kcal/mol of atoms) = -2.78

=====

3.
First-principles (r²SCAN) data for a geometry-optimized GdMgTl structure, as listed in Materials Project.

a = 4.673 Å, b = 13.121 Å, c = 7.566 Å
α = 90.00°, β = 90.00°, γ = 90.00°
Space group Amm2 (No. 38)
Unique sites:
Gd: 0.000 0.000 0.000 x2
Gd: 0.000 0.215 0.644 x4
Mg: 0.500 0.000 0.672 x2
Mg: 0.500 0.121 0.308 x4
Tl: 0.000 0.000 0.429 x2
Tl: 0.500 0.167 0.929 x4

Results
- total magnetization (μB per formula unit) = 7.1
- formation enthalpy at 0 K (kcal/mol of atoms) = -9.28

=====

4.
First-principles (r²SCAN) data for a geometry-optimized Gd2MgTl structure, as listed in Materials Project.

a = 5.398 Å, b = 5.398 Å, c = 7.551 Å
α = 90.00°, β = 90.00°, γ = 90.00°
Space group I4/mmm (No. 139)
Unique sites:
Gd: 0.000 0.500 0.250 x4
Mg: 0.000 0.000 0.000 x2
Tl: 0.000 0.000 0.500 x2

Results
- total magnetization (μB per formula unit) = 15.3
- formation enthalpy at 0 K (kcal/mol of atoms) = -6.93

=====

5.
First-principles (r²SCAN) data for a geometry-optimized Gd2Mo2O7 structure, as listed in Materials Project.

a = 10.351 Å, b = 10.351 Å, c = 10.351 Å
α = 90.00°, β = 90.00°, γ = 90.00°
Space group Fd-3m (No. 227, origin choice 2)
Unique sites:
Gd: 0.000 0.000 0.000 x16
Mo: 0.000 0.000 0.500 x16
O: 0.085 0.375 0.875 x48
O: 0.125 0.125 0.125 x8

Results
- total magnetization (μB per formula unit) = 18.0
- formation enthalpy at 0 K (kcal/mol of atoms) = -66.32

=====

6.
First-principles (r²SCAN) data for a geometry-optimized Gd3S3N structure, as listed in Materials Project.

a = 12.069 Å, b = 3.894 Å, c = 12.851 Å
α = 90.00°, β = 90.00°, γ = 90.00°
Space group Pnma (No. 62)
Unique sites:
Gd: 0.046 0.250 0.146 x4
Gd: 0.071 0.250 0.629 x4
Gd: 0.213 0.250 0.861 x4
S: 0.090 0.250 0.397 x4
S: 0.133 0.750 0.992 x4
S: 0.225 0.750 0.692 x4
N: 0.039 0.250 0.798 x4

Results
- total magnetization (μB per formula unit) = 3.0
- formation enthalpy at 0 K (kcal/mol of atoms) = -36.36

=====

7.
First-principles (r²SCAN) data for a geometry-optimized Na3GdTi2Nb2O12 structure, as listed in Materials Project.

a = 5.418 Å, b = 5.527 Å, c = 7.737 Å
α = 89.99°, β = 89.94°, γ = 89.63°
Space group P1 (No. 1)
Unique sites:
Na: 0.000 0.000 0.000 x1
Na: 0.011 0.935 0.502 x1
Na: 0.498 0.484 0.003 x1
Gd: 0.492 0.417 0.502 x1
Ti: 0.508 0.956 0.748 x1
Ti: 0.994 0.460 0.257 x1
Nb: 0.507 0.956 0.239 x1
Nb: 0.996 0.468 0.763 x1
O: 0.068 0.452 0.006 x1
O: 0.214 0.204 0.303 x1
O: 0.219 0.201 0.700 x1
O: 0.298 0.682 0.297 x1
O: 0.302 0.686 0.705 x1
O: 0.423 0.972 0.997 x1
O: 0.576 0.998 0.504 x1
O: 0.697 0.279 0.775 x1
O: 0.702 0.281 0.229 x1
O: 0.794 0.779 0.790 x1
O: 0.799 0.772 0.209 x1
O: 0.912 0.507 0.498 x1

Results
- total magnetization (μB per formula unit) = 7.0
- formation enthalpy at 0 K (kcal/mol of atoms) = -68.52

=====

8.
First-principles (r²SCAN) data for a geometry-optimized NaGdSe2 structure, as listed in Materials Project.

a = 4.1707 Å, b = 4.1707 Å, c = 20.7370 Å
α = 90.00°, β = 90.00°, γ = 120.00°
Space group R-3m (No. 166, hexagonal axes)
Unique sites:
Na: 0.0000 0.0000 0.0000 x3
Gd: 0.0000 0.0000 0.5000 x3
Se: 0.0000 0.0000 0.2445 x6

Results
- total magnetization (μB per formula unit) = 7.0
- formation enthalpy at 0 K (kcal/mol of atoms) = -45.18